[1]
Density functional theory data (GGA+U) for Na4MnO4 after structural relaxation.

Lattice parameters (Å, degrees): 8.6757 5.8988 5.6417 68.08 108.99 101.46
Closest atoms and distances in Å follow each position.
Atoms (fractional coordinates):
1 O 0.3902 0.7669 0.9969  1 Mn 1.82
2 O 0.9460 0.7986 0.8048  1 Mn 1.82
3 O 0.8323 0.1607 0.9961  1 Mn 1.81
4 O 0.1045 0.7878 0.3211  1 Mn 1.82
5 O 0.3699 0.3026 0.4557  1 Mn 1.82
6 O 0.6622 0.3939 0.3216  1 Mn 1.81
7 O 0.5492 0.7568 0.5131  1 Mn 1.82
8 O 0.1250 0.2524 0.8627  1 Mn 1.82
9 Na 0.1808 0.0060 0.6403  5 O 2.33-2.44
10 Na 0.5726 0.0356 0.7467  4 O 2.36-2.41
11 Na 0.3565 0.0396 0.2073  5 O 2.37-2.51
12 Na 0.7676 0.0298 0.3981  4 O 2.32-2.39
13 Na 0.3145 0.5486 0.6781  5 O 2.34-2.44
14 Na 0.9224 0.5199 0.5710  4 O 2.36-2.41
15 Na 0.1388 0.5158 0.1106  5 O 2.37-2.51
16 Na 0.7276 0.5262 0.9200  4 O 2.32-2.39
17 Mn 0.9915 0.9953 0.0076  4 O 1.81-1.82
18 Mn 0.5034 0.5597 0.3105  4 O 1.81-1.82

Computed properties:
The crystal system is triclinic. For the formation enthalpy at 0 K, the calculation gives -1.7517 eV per atom. The energy above the most stable polymorph in this dataset is 0.00 eV/f.u. Its calculated total energy is -91.2 eV/cell. As for the space-group type: No. 2.

***

[2]
Density functional theory data (GGA+U) for Li2MnPCO7 after structural relaxation.

Lattice parameters (Å, degrees): 5.0291 8.4284 13.0626 90.31 90.03 94.19
Closest atoms and distances in Å follow each position.
Atoms (fractional coordinates):
1 O 0.8479 0.6768 0.5361  1 P 1.53
2 O 0.1620 0.3247 0.2839  1 P 1.52
3 O 0.4648 0.1647 0.1418  1 C 1.32
4 O 0.5401 0.8177 0.8727  1 C 1.35
5 O 0.0261 0.0933 0.6201  1 C 1.29
6 O 0.8421 0.6713 0.0258  1 P 1.56
7 O 0.4543 0.1752 0.6186  1 C 1.35
8 O 0.2231 0.3099 0.9651  1 P 1.53
9 O 0.8626 0.6820 0.7253  1 P 1.56
10 O 0.1573 0.3341 0.4732  1 P 1.54
11 O 0.5886 0.4422 0.8514  1 P 1.54
12 O 0.3365 0.9107 0.6226  1 C 1.26
13 O 0.9512 0.8833 0.3757  1 C 1.31
14 O 0.5198 0.8332 0.3788  1 C 1.32
15 O 0.1647 0.5933 0.3738  1 P 1.56
16 O 0.9543 0.9316 0.8732  1 C 1.29
17 O 0.6892 0.0912 0.3749  1 C 1.25
18 O 0.1570 0.3111 0.7813  1 P 1.56
19 O 0.6012 0.0824 0.8526  1 C 1.27
20 O 0.5777 0.4457 0.3791  1 P 1.58
21 O 0.1728 0.5799 0.8785  1 P 1.56
22 O 0.4293 0.5738 0.6346  1 P 1.56
23 O 0.3206 0.9035 0.1303  1 C 1.26
24 O 0.4214 0.5581 0.1196  1 P 1.57
25 O 0.8315 0.6800 0.2153  1 P 1.53
26 O 0.0386 0.1020 0.1260  1 C 1.31
27 O 0.8317 0.4145 0.6317  1 P 1.57
28 O 0.8411 0.4116 0.1265  1 P 1.55
29 Li 0.2202 0.1057 0.8831  3 O 1.92-2.02
30 Li 0.7570 0.2354 0.2483  4 O 2.07-2.20
31 Li 0.2641 0.7320 0.0183  4 O 2.06-2.25
32 Li 0.2436 0.7525 0.5117  2 O 2.00-2.07
33 Li 0.7525 0.2461 0.4939  3 O 2.03-2.27
34 Li 0.2361 0.7439 0.2415  3 O 2.01-2.16
35 Li 0.7474 0.2657 0.7689  4 O 1.99-2.22
36 Li 0.2739 0.7466 0.7350  3 O 2.03-2.14
37 C 0.7035 0.9512 0.8661  3 O 1.27-1.35
38 C 0.2667 0.0515 0.6200  3 O 1.26-1.35
39 C 0.7189 0.9447 0.3766  3 O 1.25-1.32
40 C 0.2749 0.0486 0.1338  3 O 1.26-1.32
41 P 0.7347 0.5796 0.1225  4 O 1.53-1.57
42 P 0.7395 0.5890 0.6312  4 O 1.53-1.57
43 P 0.2636 0.4216 0.3765  4 O 1.52-1.58
44 P 0.2872 0.4129 0.8711  4 O 1.53-1.56
45 Mn 0.1957 0.3408 0.6262  5 O 1.98-2.20
46 Mn 0.7860 0.6593 0.3765  6 O 2.01-2.12
47 Mn 0.2029 0.3330 0.1230  6 O 1.98-2.12
48 Mn 0.8143 0.6583 0.8752  5 O 1.97-2.10

Computed properties:
The crystal system is triclinic. For the formation enthalpy at 0 K, the calculation gives -2.3317 eV per atom. The energy above the most stable polymorph in this dataset is 0.18 eV/f.u. Its calculated total energy is -335.0 eV/cell. For the total magnetic moment, the calculation gives 16.00 μB/cell. As for the space-group type: No. 1.

***

[3]
Density functional theory data (GGA+U) for MnH7C3NO6 after structural relaxation.

Lattice parameters (Å, degrees): 7.0848 9.5721 11.1814 90.00 90.00 90.00
Closest atoms and distances in Å follow each position.
Atoms (fractional coordinates):
1 H 0.2420 0.5439 0.7701  1 N 1.04
2 H 0.3554 0.7767 0.3400  1 C 1.11
3 H 0.2580 0.0439 0.2701  1 N 1.04
4 H 0.1446 0.2767 0.8400  1 C 1.11
5 H 0.8122 0.2972 0.3212  1 N 1.03
6 H 0.2835 0.9819 0.6169  1 C 1.11
7 H 0.9581 0.2698 0.6232  1 C 1.11
8 H 0.5102 0.9059 0.7800  1 N 1.04
9 H 0.1878 0.7028 0.8212  1 N 1.03
10 H 0.3438 0.1636 0.1747  1 N 1.03
11 H 0.7420 0.9561 0.7701  1 N 1.04
12 H 0.8554 0.7233 0.3400  1 C 1.11
13 H 0.6562 0.8364 0.6747  1 N 1.03
14 H 0.4898 0.0941 0.2800  1 N 1.04
15 H 0.2165 0.4819 0.1169  1 C 1.11
16 H 0.6446 0.2233 0.8400  1 C 1.11
17 H 0.3122 0.2028 0.3212  1 N 1.03
18 H 0.7165 0.0181 0.1169  1 C 1.11
19 H 0.0419 0.7302 0.1232  1 C 1.11
20 H 0.7835 0.5181 0.6169  1 C 1.11
21 H 0.7580 0.4561 0.2701  1 N 1.04
22 H 0.1562 0.6636 0.6747  1 N 1.03
23 H 0.8438 0.3364 0.1747  1 N 1.03
24 H 0.4581 0.2302 0.6232  1 C 1.11
25 H 0.9898 0.4059 0.2800  1 N 1.04
26 H 0.0102 0.5941 0.7800  1 N 1.04
27 H 0.6878 0.7972 0.8212  1 N 1.03
28 H 0.5419 0.7698 0.1232  1 C 1.11
29 O 0.3544 0.3992 0.8997  1 C 1.27
30 O 0.5041 0.5346 0.6575  1 C 1.26
31 O 0.9383 0.7986 0.9636  1 C 1.27
32 O 0.2599 0.4557 0.2942  1 C 1.28
33 O 0.1456 0.8992 0.3997  1 C 1.27
34 O 0.7308 0.8051 0.4885  1 C 1.27
35 O 0.3411 0.8980 0.0589  1 C 1.26
36 O 0.6589 0.1020 0.5589  1 C 1.26
37 O 0.6456 0.6008 0.3997  1 C 1.27
38 O 0.7692 0.3051 0.9885  1 C 1.27
39 O 0.7401 0.5443 0.7942  1 C 1.28
40 O 0.8411 0.6020 0.0589  1 C 1.26
41 O 0.1589 0.3980 0.5589  1 C 1.26
42 O 0.8544 0.1008 0.8997  1 C 1.27
43 O 0.2308 0.6949 0.4885  1 C 1.27
44 O 0.4959 0.4654 0.1575  1 C 1.26
45 O 0.0617 0.2014 0.4636  1 C 1.27
46 O 0.0041 0.9654 0.6575  1 C 1.26
47 O 0.5617 0.2986 0.4636  1 C 1.27
48 O 0.4383 0.7014 0.9636  1 C 1.27
49 O 0.2692 0.1949 0.9885  1 C 1.27
50 O 0.7599 0.0443 0.2942  1 C 1.28
51 O 0.9959 0.0346 0.1575  1 C 1.26
52 O 0.2401 0.9557 0.7942  1 C 1.28
53 C 0.7554 0.2106 0.9095  1 H 1.11
54 C 0.7446 0.7106 0.4095  1 H 1.11
55 C 0.9413 0.7107 0.0489  1 H 1.11
56 C 0.0587 0.2893 0.5489  1 H 1.11
57 C 0.4413 0.7893 0.0489  1 H 1.11
58 C 0.3241 0.4685 0.1878  1 H 1.11
59 C 0.2446 0.7894 0.4095  1 H 1.11
60 C 0.2554 0.2894 0.9095  1 H 1.11
61 C 0.1759 0.9685 0.6878  1 H 1.11
62 C 0.6759 0.5315 0.6878  1 H 1.11
63 C 0.8241 0.0315 0.1878  1 H 1.11
64 C 0.5587 0.2107 0.5489  1 H 1.11
65 N 0.3522 0.1263 0.2613  4 H 1.03-1.04
66 N 0.1478 0.6263 0.7613  4 H 1.03-1.04
67 N 0.8522 0.3737 0.2613  4 H 1.03-1.04
68 N 0.6478 0.8737 0.7613  4 H 1.03-1.04
69 Mn 0.1027 0.9980 0.9721  6 O 2.17-2.25
70 Mn 0.8973 0.0020 0.4721  6 O 2.17-2.25
71 Mn 0.3973 0.4980 0.4721  6 O 2.17-2.25
72 Mn 0.6027 0.5020 0.9721  6 O 2.17-2.25

Computed properties:
The crystal system is orthorhombic. For the formation enthalpy at 0 K, the calculation gives -1.1361 eV per atom. The energy above the most stable polymorph in this dataset is 0.24 eV/f.u. Its calculated total energy is -453.1 eV/cell. For the total magnetic moment, the calculation gives 20.05 μB/cell. As for the space-group type: No. 33.